{"formula": "Li4Ni5SbO12", "functional": "GGA+U", "state": "relaxed", "magmom_total_mub_per_fu": 5.00, "energy_mp2020_ev_per_fu": -132.29, "e_tot_ev_per_atom": -5.061, "delta_e_f_mev_per_atom": -1466, "cell": [[4.387, 2.568, 0.000], [-4.387, 2.568, 0.000], [0.000, 0.085, 10.006]], "species": ["Ni", "Li", "Ni", "Li", "Ni", "O", "O", "O", "Sb", "Li", "O", "O", "O", "O", "O", "O", "Li", "O", "Ni", "O", "Ni", "O"], "fractional_positions": [[0.836, 0.164, 0.500], [0.155, 0.648, 0.748], [0.335, 0.665, 0.000], [0.352, 0.845, 0.252], [0.665, 0.335, 0.000], [0.838, 0.481, 0.603], [0.322, 0.983, 0.888], [0.678, 0.017, 0.112], [0.000, 0.000, 0.000], [0.845, 0.352, 0.252], [0.832, 0.832, 0.408], [0.519, 0.162, 0.397], [0.017, 0.678, 0.112], [0.162, 0.519, 0.397], [0.330, 0.330, 0.104], [0.168, 0.168, 0.592], [0.648, 0.155, 0.748], [0.481, 0.838, 0.603], [0.500, 0.500, 0.500], [0.983, 0.322, 0.888], [0.164, 0.836, 0.500], [0.670, 0.670, 0.896]]}

***

{"formula": "Li4V3Ni3Sb2O16", "functional": "GGA+U", "state": "relaxed", "magmom_total_mub_per_fu": 9.00, "energy_mp2020_ev_per_fu": -197.91, "e_tot_ev_per_atom": -6.221, "delta_e_f_mev_per_atom": -2081, "cell": [[1.924, -4.387, 3.541], [5.114, 0.580, 3.000], [-4.749, 3.867, 7.510]], "species": ["O", "O", "Li", "O", "Li", "Ni", "O", "O", "V", "O", "O", "O", "Li", "V", "O", "O", "O", "Sb", "O", "Li", "O", "Sb", "Ni", "O", "V", "O", "Ni", "O"], "fractional_positions": [[0.649, 0.649, 0.892], [0.167, 0.167, 0.898], [0.997, 0.997, 0.016], [0.169, 0.673, 0.904], [0.001, 0.001, 0.503], [0.171, 0.658, 0.288], [0.032, 0.473, 0.148], [0.012, 0.012, 0.202], [0.832, 0.343, 0.783], [0.959, 0.509, 0.658], [0.518, 0.518, 0.660], [0.336, 0.835, 0.407], [0.331, 0.331, 0.594], [0.343, 0.832, 0.783], [0.482, 0.482, 0.152], [0.473, 0.032, 0.148], [0.838, 0.838, 0.411], [0.671, 0.671, 0.505], [0.509, 0.959, 0.658], [0.662, 0.662, 0.108], [0.835, 0.336, 0.407], [0.340, 0.340, 0.016], [0.658, 0.171, 0.288], [0.010, 0.010, 0.696], [0.174, 0.174, 0.280], [0.673, 0.169, 0.904], [0.830, 0.830, 0.789], [0.315, 0.315, 0.394]]}

***

{"formula": "Li4V2Ni3Sb3O16", "functional": "GGA+U", "state": "relaxed", "magmom_total_mub_per_fu": 8.91, "energy_mp2020_ev_per_fu": -190.37, "e_tot_ev_per_atom": -6.013, "delta_e_f_mev_per_atom": -1988, "cell": [[3.051, 5.267, 0.000], [-3.051, 5.267, 0.000], [0.000, 0.256, 9.732]], "species": ["Ni", "Ni", "O", "Li", "Li", "Li", "V", "Sb", "O", "O", "O", "Ni", "O", "O", "O", "O", "O", "Li", "O", "O", "V", "O", "Sb", "O", "O", "O", "Sb", "O"], "fractional_positions": [[0.831, 0.831, 0.784], [0.677, 0.165, 0.293], [0.479, 0.049, 0.148], [0.328, 0.328, 0.596], [0.993, 0.993, 0.496], [0.680, 0.680, 0.113], [0.362, 0.362, 0.035], [0.335, 0.836, 0.786], [0.157, 0.157, 0.899], [0.334, 0.334, 0.392], [0.679, 0.173, 0.902], [0.165, 0.677, 0.293], [0.173, 0.679, 0.902], [0.049, 0.479, 0.148], [0.663, 0.663, 0.899], [0.003, 0.003, 0.685], [0.327, 0.856, 0.400], [0.979, 0.979, 0.015], [0.516, 0.516, 0.665], [0.507, 0.964, 0.662], [0.678, 0.678, 0.502], [0.836, 0.836, 0.406], [0.836, 0.335, 0.786], [0.011, 0.011, 0.193], [0.964, 0.507, 0.662], [0.491, 0.491, 0.141], [0.175, 0.175, 0.287], [0.856, 0.327, 0.400]]}

***

{"formula": "Li2Si2NiO6", "functional": "GGA+U", "state": "relaxed", "magmom_total_mub_per_fu": 0.00, "energy_mp2020_ev_per_fu": -78.95, "e_tot_ev_per_atom": -6.571, "delta_e_f_mev_per_atom": -2619, "polymorph_energy_ev_per_atom": 0.0376, "cell": [[1.145, -1.098, 5.353], [5.237, -1.450, 1.245], [3.973, 18.097, 3.203]], "species": ["O", "Li", "Si", "O", "Li", "O", "O", "O", "O", "O", "O", "Si", "Si", "Li", "O", "O", "Si", "Ni", "Si", "O", "Li", "O", "O", "Ni", "O", "Si", "O", "O", "O", "O", "Li", "Si", "Li", "Si", "Ni", "O", "Li", "O", "O", "Ni", "O", "O", "O", "Li"], "fractional_positions": [[0.887, 0.883, 0.376], [0.261, 0.396, 0.191], [0.138, 0.801, 0.816], [0.119, 0.113, 0.626], [0.736, 0.604, 0.809], [0.993, 0.992, 0.749], [0.885, 0.881, 0.876], [0.864, 0.375, 0.399], [0.130, 0.629, 0.600], [0.625, 0.141, 0.648], [0.116, 0.116, 0.125], [0.860, 0.195, 0.683], [0.807, 0.139, 0.434], [0.739, 0.604, 0.309], [0.233, 0.487, 0.794], [0.491, 0.232, 0.957], [0.803, 0.139, 0.933], [0.741, 0.748, 0.627], [0.197, 0.861, 0.066], [0.510, 0.768, 0.043], [0.605, 0.740, 0.441], [0.009, 0.003, 0.499], [0.374, 0.867, 0.350], [0.256, 0.258, 0.376], [0.000, 0.998, 0.250], [0.141, 0.803, 0.316], [0.135, 0.627, 0.100], [0.233, 0.489, 0.294], [0.770, 0.509, 0.206], [0.627, 0.134, 0.150], [0.602, 0.739, 0.940], [0.861, 0.196, 0.184], [0.395, 0.264, 0.559], [0.199, 0.860, 0.566], [0.745, 0.742, 0.125], [0.768, 0.507, 0.707], [0.397, 0.262, 0.060], [0.513, 0.765, 0.545], [0.002, 0.004, 0.999], [0.252, 0.259, 0.877], [0.495, 0.230, 0.457], [0.860, 0.374, 0.898], [0.369, 0.869, 0.849], [0.260, 0.396, 0.691]]}

***

{"formula": "Li2SiNiO4", "functional": "GGA+U", "state": "relaxed", "magmom_total_mub_per_fu": 2.00, "energy_mp2020_ev_per_fu": -54.28, "e_tot_ev_per_atom": -6.124, "delta_e_f_mev_per_atom": -2433, "polymorph_energy_ev_per_atom": 0.0176, "cell": [[-1.291, -3.847, -3.318], [-0.005, -4.108, 4.763], [-5.105, 1.190, 1.023]], "species": ["O", "O", "Ni", "O", "Li", "O", "Ni", "Li", "Si", "Si", "Li", "O", "O", "O", "Li", "O"], "fractional_positions": [[0.132, 0.750, 0.802], [0.689, 0.962, 0.697], [0.685, 0.005, 0.327], [0.216, 0.253, 0.863], [0.690, 0.502, 0.315], [0.305, 0.031, 0.301], [0.315, 0.504, 0.672], [0.811, 0.248, 0.823], [0.182, 0.249, 0.170], [0.818, 0.748, 0.830], [0.189, 0.749, 0.177], [0.695, 0.531, 0.699], [0.312, 0.462, 0.301], [0.784, 0.754, 0.136], [0.310, 0.000, 0.685], [0.869, 0.251, 0.199]]}

***

{"formula": "Li9Si2Ni5O16", "functional": "GGA+U", "state": "relaxed", "magmom_total_mub_per_fu": 4.95, "energy_mp2020_ev_per_fu": -199.32, "e_tot_ev_per_atom": -5.488, "delta_e_f_mev_per_atom": -1976, "cell": [[-2.472, 3.977, -1.454], [-2.067, -1.761, -4.250], [-9.743, -3.481, 4.077]], "species": ["Li", "Li", "Li", "O", "Ni", "Li", "O", "O", "O", "Si", "O", "Si", "Ni", "Li", "O", "Ni", "O", "O", "Ni", "O", "O", "O", "O", "Li", "O", "O", "Li", "Li", "Li", "Ni", "O", "O"], "fractional_positions": [[0.743, 0.692, 0.814], [0.259, 0.052, 0.440], [0.243, 0.557, 0.937], [0.341, 0.440, 0.344], [0.001, 0.872, 0.127], [0.741, 0.948, 0.560], [0.144, 0.204, 0.030], [0.093, 0.686, 0.526], [0.658, 0.818, 0.398], [0.001, 0.618, 0.380], [0.342, 0.182, 0.602], [0.999, 0.382, 0.620], [0.500, 0.258, 0.743], [0.261, 0.813, 0.684], [0.613, 0.059, 0.166], [0.500, 0.000, 0.000], [0.865, 0.541, 0.244], [0.659, 0.560, 0.656], [0.999, 0.128, 0.873], [0.865, 0.086, 0.703], [0.907, 0.314, 0.474], [0.135, 0.459, 0.756], [0.856, 0.796, 0.970], [0.257, 0.308, 0.186], [0.135, 0.914, 0.297], [0.387, 0.941, 0.834], [0.739, 0.187, 0.316], [0.500, 0.500, 0.500], [0.757, 0.443, 0.063], [0.500, 0.742, 0.257], [0.608, 0.334, 0.892], [0.392, 0.666, 0.108]]}